# Ho3Se3N PBE relaxed
# **Total energy**: -364.34 eV for the cell shown
data_Ho3Se3N
_chemical_formula_sum 'Ho24 Se24 N8'
_cell_length_a 11.591
_cell_length_b 10.133
_cell_length_c 12.561
_cell_angle_alpha 90.00
_cell_angle_beta 112.73
_cell_angle_gamma 90.00
_symmetry_space_group_name_H-M 'C 1 2/c 1'
_symmetry_Int_Tables_number 15
_symmetry_space_group_name_Hall '-C 2yc'
loop_
_atom_site_label
_atom_site_fract_x
_atom_site_fract_y
_atom_site_fract_z
Ho1 0.075 0.137 0.123
Ho2 0.180 0.428 0.387
Ho3 0.181 0.159 0.883
Se1 0.073 0.147 0.627
Se2 0.081 0.416 0.140
Se3 0.174 0.133 0.372
N1 0.242 0.133 0.076